No. 1
The following is a PBE calculation of Gd2AlNi2 after structural relaxation, from the Materials Project.

Computed properties:
The energy of formation comes out at -0.516 eV/atom.

a b c (Å): 5.4623 5.4623 5.4623
angles (deg): 135.12 119.90 78.04
With the nearest neighbours (Å) after each atom.
Positions (direct):
Gd 0.2056 0.2056 0.0000  6 Ni 2.90-3.00, 2 Al 3.24
Gd 0.7944 0.7944 0.0000  6 Ni 2.90-3.00, 2 Al 3.24
Al 0.5000 0.0000 0.5000  4 Ni 2.55
Ni 0.2301 0.5000 0.7301  1 Ni 2.52, 2 Al 2.55
Ni 0.7699 0.5000 0.2699  1 Ni 2.52, 2 Al 2.55

=====

No. 2
The following is a PBE calculation of K2ScAgI6 after structural relaxation, from the Materials Project.

Computed properties:
The calculation puts the corrected total energy (MP2020 scheme) at -33.6 eV per cell. The energy of formation comes out at -1.305 eV/atom.

a b c (Å): 8.3701 8.3701 8.3701
angles (deg): 60.00 60.00 60.00
With the nearest neighbours (Å) after each atom.
Positions (direct):
K 0.2500 0.2500 0.2500  12 I 4.19
K 0.7500 0.7500 0.7500  12 I 4.19
Sc 0.0000 0.0000 0.0000  6 I 2.90
Ag 0.5000 0.5000 0.5000  6 I 3.02
I 0.2446 0.2446 0.7554  1 Sc 2.90, 1 Ag 3.02
I 0.2446 0.7554 0.2446  1 Sc 2.90, 1 Ag 3.02
I 0.2446 0.7554 0.7554  1 Sc 2.90, 1 Ag 3.02
I 0.7554 0.2446 0.2446  1 Sc 2.90, 1 Ag 3.02
I 0.7554 0.2446 0.7554  1 Sc 2.90, 1 Ag 3.02
I 0.7554 0.7554 0.2446  1 Sc 2.90, 1 Ag 3.02

=====

Question: energy of formation of number 1 (Gd2AlNi2)?
Answer: -0.516 eV/atom

=====

Question: Which formula does entry 1 have?
Answer: Gd2AlNi2

=====

Question: Among the records above, which one has the lowest energy of formation?
Answer: K2ScAgI6